Li6Fe2C4SO16 | PBE+U | relaxed

The calculation puts the volume at 10.26 Å³/atom. The density is 2.73 g/cm3. For the spin magnetization, the calculation gives 64.0 μB/cell. For the total DFT energy (no corrections), the calculation gives -6.645 eV/atom.

It has space group Fd-3 (No. 203, origin choice 2), with a = 13.3513 Å, b = 13.3513 Å, c = 13.3513 Å, α = 90.00°, β = 90.00° and γ = 90.00°. The inequivalent atoms are Li at (0.0935, 0.3750, 0.3750), Fe at (0.0000, 0.0000, 0.5000), C at (0.0247, 0.0247, 0.7253), S at (0.1250, 0.1250, 0.1250), O at (0.0203, 0.0957, 0.7917) and O at (0.0603, 0.0603, 0.0603).